Below is CsOs2O6 after structural relaxation, with properties calculated at the GGA-PBE level.

Cell: 10.2804 10.2804 10.2804 Å, 90.00 90.00 90.00°
Closest atoms and distances in Å follow each position.
Space group Fd-3m (No. 227, origin choice 2)
Unique sites:
1 Cs 0.1250 0.1250 0.1250  6 O 3.20
2 Os 0.0000 0.0000 0.5000  6 O 1.93
3 O 0.0637 0.3750 0.8750  2 Os 1.93

Below is SmClO2 after structural relaxation, with properties calculated at the GGA-PBE level.

Results
Polymorph energy (0 for the lowest one) in eV per atom: 0.000
Spin magnetization in Bohr magnetons per cell: 0.0

Cell: 5.0602 4.2603 6.5519 Å, 90.00 108.30 90.00°
Closest atoms and distances in Å follow each position.
Space group P2_1/m (No. 11)
Unique sites:
1 Sm 0.1759 0.2500 0.3325  6 O 2.35-2.50
2 Cl 0.2159 0.2500 0.9171  3 Sm 2.79-3.02, 1 O 3.05
3 O 0.2345 0.7500 0.5405  1 O 1.49
4 O 0.3847 0.7500 0.3773  1 O 1.49

Below is ZrTi2O6 after structural relaxation, with properties calculated at the GGA-PBE level.

Results
Spin magnetization in Bohr magnetons per cell: 0.0

Cell: 4.7441 5.6732 15.1874 Å, 89.96 89.11 89.94°
Closest atoms and distances in Å follow each position.
Space group P1 (No. 1)
Unique sites:
1 Zr 0.0000 0.0000 0.0000  6 O 2.04-2.25
2 Zr 0.0028 0.9892 0.3276  6 O 2.05-2.26
3 Zr 0.4996 0.1320 0.5014  6 O 2.04-2.25
4 Zr 0.9943 0.6210 0.8310  6 O 2.04-2.26
5 Ti 0.4938 0.4946 0.6632  4 O 1.86-1.98
6 Ti 0.4959 0.4889 0.3304  6 O 1.88-2.10
7 Ti 0.4968 0.4849 0.0000  5 O 1.89-2.06
8 Ti 0.4976 0.1362 0.8294  5 O 1.89-2.07
9 Ti 0.5047 0.1326 0.1658  4 O 1.87-1.93
10 Ti 0.9925 0.6321 0.4997  5 O 1.89-2.05
11 Ti 0.9992 0.6202 0.1639  4 O 1.88-2.00
12 Ti 0.9994 0.9949 0.6670  4 O 1.87-1.99
13 O 0.1987 0.9227 0.5589  2 Ti 1.93-2.13, 1 Zr 2.04
14 O 0.2264 0.6976 0.7159  1 Ti 1.88, 1 Zr 2.10
15 O 0.2272 0.6844 0.0549  2 Ti 1.89-2.00
16 O 0.2359 0.9262 0.8836  1 Ti 1.90, 1 Zr 2.12
17 O 0.2399 0.9216 0.2138  1 Ti 1.87, 1 Zr 2.08
18 O 0.2437 0.6907 0.3905  2 Ti 1.88-2.05
19 O 0.2527 0.1950 0.7230  2 Ti 1.87-2.03
20 O 0.2643 0.4327 0.2232  2 Ti 1.89-2.00
21 O 0.2664 0.4366 0.5568  2 Ti 1.92-1.98
22 O 0.2749 0.4142 0.8961  2 Ti 1.95-2.14, 1 Zr 2.04
23 O 0.2852 0.2097 0.3864  2 Zr 2.05-2.08, 1 Ti 2.05
24 O 0.2992 0.2025 0.0600  2 Ti 1.93-2.06, 1 Zr 2.05
25 O 0.6910 0.4243 0.7706  2 Ti 1.93-2.07, 1 Zr 2.05
26 O 0.7077 0.2034 0.2716  2 Ti 1.93-2.10, 1 Zr 2.05
27 O 0.7205 0.2059 0.9335  2 Ti 1.96-2.15, 1 Zr 2.04
28 O 0.7324 0.1977 0.6146  1 Ti 1.89, 1 Zr 2.09
29 O 0.7425 0.4323 0.4396  2 Ti 1.89-2.07
30 O 0.7440 0.4244 0.1057  2 Ti 1.88-2.03
31 O 0.7587 0.6887 0.6074  2 Ti 1.86-1.99
32 O 0.7586 0.6965 0.9468  1 Ti 1.90, 1 Zr 2.11
33 O 0.7641 0.9330 0.7745  2 Ti 1.89-1.99
34 O 0.7696 0.9245 0.1158  1 Ti 1.88, 1 Zr 2.10
35 O 0.7734 0.6819 0.2726  2 Ti 1.92-1.99
36 O 0.7846 0.9092 0.4433  2 Zr 2.04-2.07, 1 Ti 2.05

Below is AcNdMg2 after structural relaxation, with properties calculated at the GGA-PBE level.

Results
Spin magnetization in Bohr magnetons per cell: 0.7

Cell: 8.0040 8.0040 8.0040 Å, 90.00 90.00 90.00°
Closest atoms and distances in Å follow each position.
Space group Fm-3m (No. 225)
Unique sites:
1 Ac 0.0000 0.0000 0.0000  8 Mg 3.47
2 Nd 0.0000 0.0000 0.5000  8 Mg 3.47
3 Mg 0.2500 0.2500 0.2500  4 Ac 3.47, 4 Nd 3.47

Below is SbN2Cl3F2 after structural relaxation, with properties calculated at the GGA-PBE level.

Results
Spin magnetization in Bohr magnetons per cell: 47.5

Cell: 16.0944 7.9568 17.8976 Å, 90.00 121.97 90.00°
Closest atoms and distances in Å follow each position.
Space group P2_1/c (No. 14)
Unique sites:
1 Sb 0.0263 0.1522 0.1644  2 F 1.89-1.92
2 Sb 0.4600 0.1425 0.1333  2 F 1.89-1.92
3 N 0.1388 0.2461 0.5098  3 F 3.12-3.19, 1 Cl 3.45
4 N 0.2044 0.7197 0.2126  1 F 2.95
5 N 0.3086 0.6876 0.0079  1 F 2.95
6 N 0.3511 0.2318 0.8689  3 F 3.13-3.28
7 Cl 0.0689 0.6774 0.9576  1 Sb 2.33
8 Cl 0.1137 0.5699 0.3342  1 Sb 2.36
9 Cl 0.1248 0.0739 0.3123  1 Sb 2.34
10 Cl 0.3491 0.0588 0.1721  1 Sb 2.33
11 Cl 0.4086 0.5492 0.2283  1 Sb 2.37
12 Cl 0.4359 0.6734 0.8791  1 Sb 2.32
13 F 0.0456 0.5351 0.6107  1 Sb 1.89
14 F 0.1358 0.2136 0.6854  1 Sb 1.92
15 F 0.3549 0.2224 0.5451  1 Sb 1.92
16 F 0.4516 0.5374 0.5608  1 Sb 1.89

Below is MgTiGe2O6 after structural relaxation, with properties calculated at the GGA-PBE level.

Results
Polymorph energy (0 for the lowest one) in eV per atom: 0.000
Spin magnetization in Bohr magnetons per cell: 0.0

Cell: 11.8972 8.5059 5.3639 Å, 90.00 101.41 90.00°
Closest atoms and distances in Å follow each position.
Space group P2_1/c (No. 14)
Unique sites:
1 Mg 0.2436 0.0434 0.1954  4 O 2.01-2.24
2 Ti 0.2195 0.6558 0.1768  4 O 1.82-1.96
3 Ge 0.0307 0.1509 0.7385  4 O 1.73-1.82
4 Ge 0.4238 0.1428 0.7632  3 O 1.94-1.99
5 O 0.0850 0.5371 0.2311  1 Ge 1.73
6 O 0.0976 0.2093 0.0600  2 Ge 1.81-1.82
7 O 0.1192 0.6496 0.7890  1 Ge 1.76
8 O 0.2823 0.6638 0.5236  2 Ti 1.86-1.96, 1 Mg 2.08
9 O 0.3022 0.0034 0.5729  1 Ti 1.82, 1 Ge 1.99, 1 Mg 2.04
10 O 0.3512 0.1828 0.0508  2 Ge 1.94-1.96, 1 Mg 2.01

Below is Ga2NiRu after structural relaxation, with properties calculated at the GGA-PBE level.

Results
Spin magnetization in Bohr magnetons per cell: 0.0

Cell: 5.9639 5.9639 5.9639 Å, 90.00 90.00 90.00°
Closest atoms and distances in Å follow each position.
Space group Fm-3m (No. 225)
Unique sites:
1 Ga 0.2500 0.2500 0.2500  4 Ru 2.58, 4 Ni 2.58
2 Ni 0.0000 0.0000 0.0000  8 Ga 2.58
3 Ru 0.0000 0.0000 0.5000  8 Ga 2.58

Below is Rb2AgAu3I8 after structural relaxation, with properties calculated at the GGA-PBE level.

Cell: 13.7568 7.6684 21.9626 Å, 90.00 101.54 90.00°
Closest atoms and distances in Å follow each position.
Space group C2/c (No. 15)
Unique sites:
1 Rb 0.2039 0.0305 0.0958  10 I 3.83-4.17
2 Ag 0.0000 0.4829 0.7500  4 I 2.88-2.91
3 Au 0.0000 0.5000 0.0000  4 I 2.69-2.70
4 Au 0.0969 0.0011 0.8008  2 I 2.61
5 I 0.0369 0.2723 0.3536  1 Au 2.61, 1 Ag 2.91
6 I 0.0497 0.2224 0.9372  1 Au 2.70
7 I 0.1701 0.2648 0.7495  1 Au 2.61, 1 Ag 2.88
8 I 0.1897 0.4679 0.5603  1 Au 2.69

Below is NaLaTi4O12 after structural relaxation, with properties calculated at the GGA-PBE level.

Results
Spin magnetization in Bohr magnetons per cell: 8.0

Cell: 7.8731 7.7056 7.7065 Å, 90.00 90.00 90.00°
Closest atoms and distances in Å follow each position.
Space group Amm2 (No. 38)
Unique sites:
1 Na 0.0000 0.0000 0.0000  4 O 2.50-2.56
2 La 0.5000 0.0000 0.4790  10 O 2.54-2.81
3 Ti 0.2355 0.2459 0.7399  6 O 1.87-2.09
4 O 0.0000 0.2248 0.2340  2 Ti 1.87
5 O 0.2295 0.0000 0.7640  2 Ti 1.90
6 O 0.2660 0.2266 0.4917  2 Ti 1.93-1.97
7 O 0.2794 0.0000 0.2343  2 Ti 1.99
8 O 0.5000 0.2268 0.7378  2 Ti 2.09

Below is YMn4Al8 after structural relaxation, with properties calculated at the GGA-PBE level.

Cell: 8.7919 8.7919 4.9383 Å, 90.00 90.00 90.00°
Closest atoms and distances in Å follow each position.
Space group I4/mmm (No. 139)
Unique sites:
1 Y 0.0000 0.0000 0.0000  12 Al 3.00-3.13, 8 Mn 3.34
2 Mn 0.2500 0.2500 0.2500  2 Mn 2.47, 8 Al 2.54-2.65
3 Al 0.0000 0.2185 0.5000  4 Mn 2.54, 6 Al 2.70-2.84
4 Al 0.0000 0.3417 0.0000  4 Mn 2.65, 5 Al 2.70-2.84

Below is Tb2Si3 after structural relaxation, with properties calculated at the GGA-PBE level.

Results
Polymorph energy (0 for the lowest one) in eV per atom: 0.237
Spin magnetization in Bohr magnetons per cell: 0.1

Cell: 3.9849 3.9849 7.9636 Å, 90.00 90.00 120.00°
Closest atoms and distances in Å follow each position.
Space group P-6m2 (No. 187)
Unique sites:
1 Tb 0.0000 0.0000 0.2447  9 Si 3.01-3.07
2 Si 0.3333 0.6667 0.5000  3 Si 2.30
3 Si 0.6667 0.3333 0.0000  6 Tb 3.01
4 Si 0.6667 0.3333 0.5000  3 Si 2.30

Below is KAgO after structural relaxation, with properties calculated at the GGA-PBE level.

Cell: 10.0325 10.0325 5.5497 Å, 90.00 90.00 90.00°
Closest atoms and distances in Å follow each position.
Space group I4/mmm (No. 139)
Unique sites:
1 K 0.0000 0.3218 0.0000  4 O 2.73-2.79
2 Ag 0.1477 0.1477 0.5000  2 O 2.09
3 O 0.0000 0.2942 0.5000  2 Ag 2.09

Below is LaCo5 after structural relaxation, with properties calculated at the GGA-PBE level.

Results
Spin magnetization in Bohr magnetons per cell: 27.3

Cell: 5.0710 8.7095 7.9006 Å, 90.00 90.00 90.00°
Closest atoms and distances in Å follow each position.
Space group Cccm (No. 66)
Unique sites:
1 La 0.0000 0.0000 0.0000  6 Co 2.76-3.05
2 Co 0.0000 0.5000 0.2500  8 Co 2.43-2.52
3 Co 0.0327 0.3382 0.0000  7 Co 2.43-2.69
4 Co 0.2500 0.2500 0.2603  8 Co 2.46-2.54

Below is Ba2NdPaO6 after structural relaxation, with properties calculated at the GGA-PBE level.

Results
Spin magnetization in Bohr magnetons per cell: 0.0

Cell: 9.0373 9.0373 9.0373 Å, 90.00 90.00 90.00°
Closest atoms and distances in Å follow each position.
Space group Fm-3m (No. 225)
Unique sites:
1 Ba 0.2500 0.2500 0.2500  12 O 3.20
2 Nd 0.0000 0.0000 0.0000  6 O 2.34
3 Pa 0.0000 0.0000 0.5000  6 O 2.18
4 O 0.0000 0.0000 0.2587  1 Pa 2.18, 1 Nd 2.34

| no. | total DFT energy (no corrections) (eV/atom) | energy of formation (kcal/mol of atoms) |
| --- | --- | --- |
| 1 | -7.109 | -38.60 |
| 2 | -6.234 | -54.21 |
| 3 | -9.103 | -82.06 |
| 4 | -3.093 | -1.63 |
| 5 | -3.400 | 5.92 |
| 6 | -7.009 | -59.47 |
| 7 | -5.613 | -7.74 |
| 8 | -2.457 | -17.50 |
| 9 | -7.867 | -67.44 |
| 10 | -5.962 | -7.86 |
| 11 | -5.556 | -9.32 |
| 12 | -3.772 | -23.93 |
| 13 | -6.767 | -0.47 |
| 14 | -8.015 | -84.09 |